(1)
{
  "formula": "WO2",
  "functional": "GGA+U",
  "state": "relaxed",
  "crystal_system": "triclinic",
  "ef_mev_per_atom": -1506.7,
  "space_group": "P1",
  "energy_corrected_mp2020_ev_per_atom": -9.12,
  "dft_energy_ev_per_atom": -7.1873,
  "cell": [[-0.982, -11.369, -1.460], [10.365, 0.168, -5.464], [5.494, -2.429, 10.461]],
  "species": ["O", "O", "O", "O", "O", "O", "O", "O", "O", "O", "O", "O", "O", "O", "O", "O", "O", "O", "O", "O", "O", "O", "O", "O", "O", "O", "O", "O", "O", "O", "O", "O", "O", "O", "O", "O", "O", "O", "O", "O", "O", "O", "O", "O", "O", "O", "O", "O", "O", "O", "O", "O", "O", "O", "O", "O", "O", "O", "O", "O", "O", "O", "O", "O", "O", "O", "O", "O", "W", "W", "W", "W", "W", "W", "W", "W", "W", "W", "W", "W", "W", "W", "W", "W", "W", "W", "W", "W", "W", "W", "W", "W", "W", "W", "W", "W", "W", "W", "W", "W", "W", "W"],
  "fractional_positions": [[0.631, 0.469, 0.350], [0.354, 0.865, 0.530], [0.604, 0.839, 0.670], [0.109, 0.650, 0.808], [0.208, 0.101, 0.273], [0.385, 0.128, 0.477], [0.114, 0.835, 0.207], [0.557, 0.109, 0.910], [0.793, 0.791, 0.509], [0.624, 0.480, 0.115], [0.701, 0.283, 0.717], [0.116, 0.378, 0.800], [0.523, 0.058, 0.294], [0.211, 0.452, 0.994], [0.885, 0.204, 0.235], [0.942, 0.507, 0.975], [0.386, 0.515, 0.264], [0.375, 0.727, 0.361], [0.281, 0.691, 0.653], [0.939, 0.395, 0.657], [0.417, 0.830, 0.845], [0.850, 0.158, 0.015], [0.931, 0.746, 0.107], [0.865, 0.394, 0.134], [0.395, 0.631, 0.070], [0.012, 0.969, 0.630], [0.902, 0.596, 0.719], [0.055, 0.212, 0.396], [0.153, 0.648, 0.340], [0.640, 0.527, 0.671], [0.139, 0.821, 0.930], [0.743, 0.434, 0.871], [0.905, 0.659, 0.334], [0.265, 0.560, 0.492], [0.864, 0.949, 0.004], [0.637, 0.271, 0.225], [0.952, 0.066, 0.828], [0.974, 0.976, 0.360], [0.377, 0.531, 0.797], [0.044, 0.705, 0.553], [0.233, 0.923, 0.719], [0.626, 0.894, 0.996], [0.183, 0.889, 0.411], [0.146, 0.067, 0.916], [0.404, 0.286, 0.171], [0.268, 0.136, 0.687], [0.079, 0.587, 0.123], [0.054, 0.235, 0.058], [0.351, 0.350, 0.636], [0.607, 0.308, 0.514], [0.729, 0.047, 0.461], [0.499, 0.327, 0.953], [0.063, 0.184, 0.649], [0.813, 0.553, 0.532], [0.055, 0.432, 0.447], [0.115, 0.364, 0.221], [0.292, 0.306, 0.391], [0.857, 0.794, 0.711], [0.584, 0.667, 0.247], [0.404, 0.066, 0.127], [0.854, 0.224, 0.539], [0.593, 0.067, 0.628], [0.041, 0.050, 0.157], [0.707, 0.869, 0.190], [0.446, 0.831, 0.166], [0.740, 0.661, 0.008], [0.718, 0.974, 0.819], [0.471, 0.483, 0.525], [0.785, 0.456, 0.711], [0.700, 0.182, 0.573], [0.646, 0.496, 0.508], [0.072, 0.515, 0.706], [0.438, 0.682, 0.225], [0.654, 0.272, 0.883], [0.458, 0.192, 0.034], [0.253, 0.767, 0.817], [0.190, 0.296, 0.684], [0.113, 0.047, 0.746], [0.888, 0.694, 0.588], [0.214, 0.468, 0.350], [0.573, 0.871, 0.830], [0.557, 0.967, 0.163], [0.763, 0.250, 0.135], [0.716, 0.058, 0.972], [0.432, 0.308, 0.484], [0.024, 0.690, 0.242], [0.114, 0.962, 0.300], [0.055, 0.418, 0.067], [0.515, 0.396, 0.257], [0.865, 0.962, 0.713], [0.338, 0.007, 0.591], [0.040, 0.673, 0.968], [0.331, 0.561, 0.947], [0.236, 0.732, 0.475], [0.383, 0.162, 0.299], [0.007, 0.077, 0.999], [0.338, 0.534, 0.636], [0.781, 0.804, 0.066], [0.015, 0.306, 0.530], [0.049, 0.206, 0.239], [0.762, 0.476, 0.033], [0.692, 0.925, 0.556]]
}

***

(2)
{
  "formula": "W2O5",
  "functional": "GGA+U",
  "state": "relaxed",
  "crystal_system": "orthorhombic",
  "ef_mev_per_atom": -1877.1,
  "space_group": "Cmcm",
  "energy_corrected_mp2020_ev_per_atom": -9.11,
  "dft_energy_ev_per_atom": -7.3550,
  "de_polymorph_mev_per_atom": 171,
  "cell": [[3.861, -3.865, 0.000], [3.861, 3.865, 0.000], [0.000, 0.000, 7.660]],
  "species": ["O", "O", "O", "O", "O", "O", "O", "O", "O", "O", "W", "W", "W", "W"],
  "fractional_positions": [[0.238, 0.762, 0.250], [0.762, 0.238, 0.750], [0.745, 0.761, 0.250], [0.500, 0.500, 0.500], [0.747, 0.253, 0.250], [0.761, 0.745, 0.750], [0.239, 0.255, 0.250], [0.255, 0.239, 0.750], [0.500, 0.500, 0.000], [0.253, 0.747, 0.750], [0.508, 0.492, 0.750], [0.008, 0.992, 0.750], [0.992, 0.008, 0.250], [0.492, 0.508, 0.250]]
}

***

(3)
{
  "formula": "W2O7",
  "functional": "GGA+U",
  "state": "relaxed",
  "crystal_system": "cubic",
  "ef_mev_per_atom": -1367.9,
  "space_group": "Fd-3m",
  "energy_corrected_mp2020_ev_per_atom": -8.10,
  "dft_energy_ev_per_atom": -6.5754,
  "de_polymorph_mev_per_atom": 275,
  "cell": [[3.002, -2.154, 6.194], [-0.906, 3.904, 5.996], [-4.151, -2.503, 5.340]],
  "species": ["O", "O", "O", "O", "O", "O", "O", "O", "O", "O", "O", "O", "O", "O", "W", "W", "W", "W"],
  "fractional_positions": [[0.287, 0.287, 0.713], [0.963, 0.537, 0.537], [0.750, 0.750, 0.750], [0.287, 0.713, 0.713], [0.713, 0.713, 0.287], [0.537, 0.963, 0.963], [0.500, 0.500, 0.500], [0.537, 0.963, 0.537], [0.713, 0.287, 0.713], [0.963, 0.963, 0.537], [0.963, 0.537, 0.963], [0.537, 0.537, 0.963], [0.287, 0.713, 0.287], [0.713, 0.287, 0.287], [0.125, 0.625, 0.625], [0.625, 0.625, 0.625], [0.625, 0.625, 0.125], [0.625, 0.125, 0.625]]
}

***

(4)
{
  "formula": "WO2",
  "functional": "GGA+U",
  "state": "relaxed",
  "crystal_system": "monoclinic",
  "ef_mev_per_atom": -2036.7,
  "space_group": "P2_1/c",
  "energy_corrected_mp2020_ev_per_atom": -9.65,
  "dft_energy_ev_per_atom": -7.7174,
  "cell": [[-2.507, 1.255, -1.569], [-2.883, -3.378, 1.835], [-0.939, 2.859, 3.787]],
  "species": ["O", "O", "O", "O", "W", "W"],
  "fractional_positions": [[0.004, 0.204, 0.802], [0.496, 0.296, 0.302], [0.504, 0.704, 0.698], [0.996, 0.796, 0.198], [0.500, 0.000, 0.000], [0.000, 0.500, 0.500]]
}

***

> What is the formula in the third record?

W2O7